Entry 1:
The following is a PBE-GGA calculation of an optimized crystal structure of Ti3SiC2, from the Materials Project database.

Cell lengths 3.0751, 3.0751, 17.7359 Å; angles 90.00, 90.00, 120.00 degrees
Element x y z (fractional)
Ti1 0.0000 0.0000 0.5000
Ti2 0.0000 0.0000 0.0000
Ti3 0.6667 0.3333 0.3651
Ti4 0.3333 0.6667 0.6349
Ti5 0.3333 0.6667 0.8651
Ti6 0.6667 0.3333 0.1349
Si1 0.0000 0.0000 0.2500
Si2 0.0000 0.0000 0.7500
C1 0.6667 0.3333 0.9277
C2 0.3333 0.6667 0.0723
C3 0.3333 0.6667 0.4277
C4 0.6667 0.3333 0.5723

Entry 2:
The following is a PBE-GGA calculation of an optimized crystal structure of Pr3GaC, from the Materials Project database.

## Properties
total magnetization: 0.0 μB per formula unit

Cell lengths 5.5374, 5.5374, 5.5374 Å; angles 90.00, 90.00, 90.00 degrees
Element x y z (fractional)
Pr1 0.0000 0.5000 0.5000
Pr2 0.5000 0.0000 0.5000
Pr3 0.5000 0.5000 0.0000
Ga1 0.5000 0.5000 0.5000
C1 0.0000 0.0000 0.0000

Entry 3:
The following is a PBE-GGA calculation of an optimized crystal structure of Na2S, from the Materials Project database.

Cell lengths 4.3444, 7.1443, 8.3924 Å; angles 90.00, 90.00, 90.00 degrees
Element x y z (fractional)
Na1 0.2500 0.1486 0.4272
Na2 0.7500 0.4779 0.3289
Na3 0.7500 0.9779 0.1711
Na4 0.7500 0.3514 0.9272
Na5 0.2500 0.5221 0.6711
Na6 0.7500 0.8514 0.5728
Na7 0.2500 0.6486 0.0728
Na8 0.2500 0.0221 0.8289
S1 0.2500 0.7540 0.3882
S2 0.2500 0.2540 0.1118
S3 0.7500 0.7460 0.8882
S4 0.7500 0.2460 0.6118

Entry 4:
The following is a PBE-GGA calculation of an optimized crystal structure of MnBe2Pt, from the Materials Project database.

Cell lengths 3.9499, 3.9499, 3.9499 Å; angles 60.00, 60.00, 60.00 degrees
Element x y z (fractional)
Mn1 0.5000 0.5000 0.5000
Be1 0.7500 0.7500 0.7500
Be2 0.2500 0.2500 0.2500
Pt1 0.0000 0.0000 0.0000

Sequential DFT formation energy output: -0.824 1.217 -1.192 -0.476 eV/atom
Sequential electronic total energy output: -105.0 -20.5 -39.4 -24.6 eV for the cell shown